A relaxed structure of EuSi3Ni, computed with PBE.

Lattice parameters (Å, degrees): 4.125 4.125 9.839 90.00 90.00 90.00
Space group I-4m2 (No. 119)
Symmetry-distinct sites (fractional):
1 Eu 0.000 0.000 0.000 (multiplicity 2)
2 Si 0.000 0.000 0.376 (multiplicity 4)
3 Si 0.000 0.500 0.250 (multiplicity 2)
4 Ni 0.000 0.500 0.750 (multiplicity 2)

**Spin magnetization**: 6.9 μB/f.u.
**ΔE_f**: -0.45 eV/atom

***

A relaxed structure of HoBrO, computed with PBE.

Lattice parameters (Å, degrees): 3.8285 3.8285 30.0794 90.00 90.00 120.00
Space group R-3m (No. 166, hexagonal axes)
Symmetry-distinct sites (fractional):
1 Ho 0.0000 0.0000 0.1198 (multiplicity 6)
2 Br 0.0000 0.0000 0.3889 (multiplicity 6)
3 O 0.0000 0.0000 0.1950 (multiplicity 6)

**Total energy after the MP2020 corrections**: -6.90 eV/atom
**ΔE_f**: -3.18 eV/atom

***

A relaxed structure of LiPr2Zn2P2O2, computed with PBE.

Lattice parameters (Å, degrees): 4.1630 4.1630 30.4707 90.00 90.00 120.00
Space group R-3m (No. 166, hexagonal axes)
Symmetry-distinct sites (fractional):
1 Li 0.0000 0.0000 0.0000 (multiplicity 3)
2 Pr 0.0000 0.0000 0.1179 (multiplicity 6)
3 Zn 0.0000 0.0000 0.2972 (multiplicity 6)
4 P 0.0000 0.0000 0.3829 (multiplicity 6)
5 O 0.0000 0.0000 0.1956 (multiplicity 6)

**Spin magnetization**: 0.0 μB/f.u.
**Total energy after the MP2020 corrections**: -5.58 eV/atom
**ΔE_f**: -1.72 eV/atom

***

A relaxed structure of KMg6P7O24, computed with PBE.

Lattice parameters (Å, degrees): 5.327 26.694 6.451 90.00 107.36 90.00
Space group P2_1/m (No. 11)
Symmetry-distinct sites (fractional):
1 K 0.239 0.250 0.125 (multiplicity 2)
2 Mg 0.295 0.549 0.812 (multiplicity 4)
3 Mg 0.305 0.096 0.407 (multiplicity 4)
4 Mg 0.363 0.683 0.233 (multiplicity 4)
5 P 0.057 0.250 0.590 (multiplicity 2)
6 P 0.198 0.109 0.872 (multiplicity 4)
7 P 0.202 0.525 0.297 (multiplicity 4)
8 P 0.235 0.667 0.702 (multiplicity 4)
9 O 0.010 0.648 0.130 (multiplicity 4)
10 O 0.014 0.203 0.432 (multiplicity 4)
11 O 0.066 0.057 0.774 (multiplicity 4)
12 O 0.090 0.618 0.708 (multiplicity 4)
13 O 0.093 0.027 0.325 (multiplicity 4)
14 O 0.142 0.750 0.282 (multiplicity 2)
15 O 0.338 0.526 0.120 (multiplicity 4)
16 O 0.347 0.250 0.714 (multiplicity 2)
17 O 0.349 0.693 0.918 (multiplicity 4)
18 O 0.366 0.124 0.723 (multiplicity 4)
19 O 0.370 0.548 0.512 (multiplicity 4)
20 O 0.371 0.095 0.102 (multiplicity 4)
21 O 0.426 0.666 0.564 (multiplicity 4)

**Spin magnetization**: 0.0 μB/f.u.
**Total energy after the MP2020 corrections**: -7.36 eV/atom
**ΔE_f**: -2.95 eV/atom

***

A relaxed structure of Na4MgCuAs2O8, computed with PBE.

Lattice parameters (Å, degrees): 5.415 5.572 8.996 79.15 73.29 61.13
Space group P1 (No. 1)
Symmetry-distinct sites (fractional):
1 Na 0.000 0.000 0.000 (multiplicity 1)
2 Na 0.132 0.020 0.607 (multiplicity 1)
3 Na 0.645 0.648 0.064 (multiplicity 1)
4 Na 0.867 0.876 0.382 (multiplicity 1)
5 Mg 0.394 0.326 0.800 (multiplicity 1)
6 Cu 0.541 0.443 0.407 (multiplicity 1)
7 As 0.283 0.277 0.195 (multiplicity 1)
8 As 0.720 0.631 0.714 (multiplicity 1)
9 O 0.002 0.372 0.810 (multiplicity 1)
10 O 0.006 0.603 0.183 (multiplicity 1)
11 O 0.193 0.065 0.338 (multiplicity 1)
12 O 0.419 0.123 0.020 (multiplicity 1)
13 O 0.426 0.650 0.870 (multiplicity 1)
14 O 0.483 0.555 0.593 (multiplicity 1)
15 O 0.586 0.290 0.226 (multiplicity 1)
16 O 0.706 0.963 0.695 (multiplicity 1)

**Spin magnetization**: 1.0 μB/f.u.
**Total energy after the MP2020 corrections**: -5.61 eV/atom
**ΔE_f**: -1.87 eV/atom

***

A relaxed structure of NaCeO2, computed with PBE.

Lattice parameters (Å, degrees): 3.5765 3.5765 16.8374 90.00 90.00 120.00
Space group R-3m (No. 166, hexagonal axes)
Symmetry-distinct sites (fractional):
1 Na 0.0000 0.0000 0.0000 (multiplicity 3)
2 Ce 0.0000 0.0000 0.5000 (multiplicity 3)
3 O 0.0000 0.0000 0.2396 (multiplicity 6)

**Spin magnetization**: 1.0 μB/f.u.
**Total energy after the MP2020 corrections**: -7.24 eV/atom
**ΔE_f**: -2.95 eV/atom

***

A relaxed structure of Mg14CuMo, computed with PBE.

Lattice parameters (Å, degrees): 9.803 6.280 10.797 90.00 90.00 90.00
Space group Amm2 (No. 38)
Symmetry-distinct sites (fractional):
1 Mg 0.000 0.000 0.000 (multiplicity 2)
2 Mg 0.000 0.000 0.500 (multiplicity 2)
3 Mg 0.000 0.250 0.252 (multiplicity 4)
4 Mg 0.256 0.000 0.163 (multiplicity 4)
5 Mg 0.259 0.000 0.664 (multiplicity 4)
6 Mg 0.268 0.248 0.924 (multiplicity 8)
7 Mg 0.500 0.246 0.251 (multiplicity 4)
8 Cu 0.500 0.000 0.501 (multiplicity 2)
9 Mo 0.500 0.000 0.004 (multiplicity 2)

**Spin magnetization**: 0.0 μB/f.u.
**ΔE_f**: 0.12 eV/atom

***

A relaxed structure of CrN2, computed with PBE.

Lattice parameters (Å, degrees): 5.450 5.469 5.993 88.36 89.13 60.18
Space group P1 (No. 1)
Symmetry-distinct sites (fractional):
1 Cr 0.000 0.000 0.000 (multiplicity 1)
2 Cr 0.014 0.510 0.667 (multiplicity 1)
3 Cr 0.524 0.511 0.334 (multiplicity 1)
4 N 0.066 0.206 0.825 (multiplicity 1)
5 N 0.306 0.781 0.166 (multiplicity 1)
6 N 0.311 0.447 0.528 (multiplicity 1)
7 N 0.726 0.219 0.181 (multiplicity 1)
8 N 0.749 0.595 0.483 (multiplicity 1)
9 N 0.920 0.788 0.851 (multiplicity 1)

**Spin magnetization**: 0.0 μB/f.u.
**Total energy after the MP2020 corrections**: -8.86 eV/atom
**ΔE_f**: -0.09 eV/atom

***

A relaxed structure of K3GdB2O6, computed with PBE.

Lattice parameters (Å, degrees): 9.064 7.130 11.236 90.00 90.00 90.00
Space group Pnma (No. 62)
Symmetry-distinct sites (fractional):
1 K 0.061 0.250 0.130 (multiplicity 4)
2 K 0.199 0.004 0.402 (multiplicity 8)
3 Gd 0.126 0.250 0.669 (multiplicity 4)
4 B 0.062 0.750 0.127 (multiplicity 4)
5 B 0.089 0.750 0.616 (multiplicity 4)
6 O 0.008 0.750 0.510 (multiplicity 4)
7 O 0.089 0.250 0.884 (multiplicity 4)
8 O 0.121 0.750 0.243 (multiplicity 4)
9 O 0.129 0.580 0.670 (multiplicity 8)
10 O 0.161 0.750 0.033 (multiplicity 4)

**Spin magnetization**: 7.0 μB/f.u.
**Total energy after the MP2020 corrections**: -7.86 eV/atom
**ΔE_f**: -2.82 eV/atom

***

A relaxed structure of SiO2, computed with PBE.

Lattice parameters (Å, degrees): 14.065 17.688 5.119 90.00 90.00 90.00
Space group Cmc2_1 (No. 36)
Symmetry-distinct sites (fractional):
1 Si 0.000 0.123 0.000 (multiplicity 4)
2 Si 0.000 0.226 0.500 (multiplicity 4)
3 Si 0.205 0.049 0.023 (multiplicity 8)
4 Si 0.206 0.289 0.598 (multiplicity 8)
5 O 0.000 0.155 0.702 (multiplicity 4)
6 O 0.000 0.194 0.202 (multiplicity 4)
7 O 0.093 0.070 0.048 (multiplicity 8)
8 O 0.093 0.278 0.542 (multiplicity 8)
9 O 0.229 0.018 0.730 (multiplicity 8)
10 O 0.229 0.379 0.583 (multiplicity 8)
11 O 0.230 0.258 0.890 (multiplicity 8)

**Total energy after the MP2020 corrections**: -8.37 eV/atom
**Largest piezoelectric modulus**: 0.11 C/m²
**ΔE_f**: -3.26 eV/atom

***

A relaxed structure of BaSr2N2, computed with PBE.

Lattice parameters (Å, degrees): 4.0177 4.0177 9.6410 90.00 90.00 120.00
Space group P-3m1 (No. 164)
Symmetry-distinct sites (fractional):
1 Ba 0.0000 0.0000 0.0000 (multiplicity 1)
2 Sr 0.3333 0.6667 0.3038 (multiplicity 2)
3 N 0.3333 0.6667 0.8028 (multiplicity 2)

**Spin magnetization**: 0.0 μB/f.u.
**Total energy after the MP2020 corrections**: -4.92 eV/atom
**ΔE_f**: -0.52 eV/atom

***

A relaxed structure of MgGa4Cu2O8, computed with PBE.

Lattice parameters (Å, degrees): 10.289 6.020 6.079 90.00 120.13 90.00
Space group C2/m (No. 12)
Symmetry-distinct sites (fractional):
1 Mg 0.000 0.000 0.000 (multiplicity 2)
2 Ga 0.130 0.000 0.460 (multiplicity 4)
3 Ga 0.250 0.250 0.000 (multiplicity 4)
4 Cu 0.000 0.500 0.000 (multiplicity 2)
5 Cu 0.000 0.500 0.500 (multiplicity 2)
6 O 0.012 0.231 0.751 (multiplicity 8)
7 O 0.227 0.000 0.216 (multiplicity 4)
8 O 0.229 0.500 0.194 (multiplicity 4)

**Spin magnetization**: 0.2 μB/f.u.
**Total energy after the MP2020 corrections**: -5.79 eV/atom
**ΔE_f**: -1.69 eV/atom

***

A relaxed structure of Tm2CuO4, computed with PBE.

Lattice parameters (Å, degrees): 5.430 11.529 5.443 90.00 90.00 90.00
Space group Fmm2 (No. 42)
Symmetry-distinct sites (fractional):
1 Tm 0.000 0.153 0.000 (multiplicity 8)
2 Cu 0.000 0.000 0.527 (multiplicity 4)
3 O 0.242 0.000 0.786 (multiplicity 8)
4 O 0.250 0.250 0.252 (multiplicity 8)

**Spin magnetization**: 0.0 μB/f.u.
**Total energy after the MP2020 corrections**: -7.81 eV/atom
**ΔE_f**: -3.12 eV/atom

***

A relaxed structure of Be3Zn4Si3SO12, computed with PBE.

Lattice parameters (Å, degrees): 8.198 8.198 8.198 90.00 90.00 90.00
Space group P-43n (No. 218)
Symmetry-distinct sites (fractional):
1 Be 0.000 0.250 0.500 (multiplicity 6)
2 Zn 0.166 0.166 0.166 (multiplicity 8)
3 Si 0.000 0.500 0.250 (multiplicity 6)
4 S 0.000 0.000 0.000 (multiplicity 2)
5 O 0.093 0.362 0.638 (multiplicity 24)

**Spin magnetization**: 0.0 μB/f.u.
**Total energy after the MP2020 corrections**: -6.86 eV/atom
**Largest piezoelectric modulus**: 0.04 C/m²
**ΔE_f**: -2.69 eV/atom

***

A relaxed structure of KPrSn2O6, computed with PBE.

Lattice parameters (Å, degrees): 8.181 8.181 8.181 90.00 90.00 90.00
Space group Fm-3m (No. 225)
Symmetry-distinct sites (fractional):
1 K 0.000 0.000 0.000 (multiplicity 4)
2 Pr 0.000 0.000 0.500 (multiplicity 4)
3 Sn 0.250 0.250 0.250 (multiplicity 8)
4 O 0.000 0.250 0.250 (multiplicity 24)

**Spin magnetization**: 0.0 μB/f.u.
**Total energy after the MP2020 corrections**: -6.73 eV/atom
**ΔE_f**: -2.37 eV/atom